# ZrTaN2

ZrTaN2 after structural relaxation (PBE, Materials Project).

It has space group R-3m (No. 166, hexagonal axes), with a = 3.1944 Å, b = 3.1944 Å, c = 15.6055 Å, α = 90.00°, β = 90.00° and γ = 120.00°. The asymmetric unit holds Zr at (0.0000, 0.0000, 0.0000), Ta at (0.0000, 0.0000, 0.5000) and N at (0.0000, 0.0000, 0.2444).

The formation energy comes out at -1468.1 meV per atom.